CeNi3 PBE optimized geometry; ΔH_f (0 K) = -9.021 kcal/mol of atoms; space group = P6_3/mmc, No. 194; crystal system = hexagonal
1.0
4.946 0.000 0.000
-2.473 4.283 0.000
0.000 0.000 16.573
Ce Ni
6 18
Cartesian
0.000 2.856 0.696
0.000 2.856 4.143
0.000 2.856 7.590
2.473 1.428 8.983
2.473 1.428 12.430
2.473 1.428 15.877
0.000 0.000 0.000
0.000 0.000 4.143
0.000 0.000 8.287
0.000 0.000 12.430
0.000 1.424 10.389
0.000 1.424 14.471
-1.240 3.571 10.389
-1.240 3.571 14.471
1.233 0.712 2.102
1.233 0.712 6.185
0.000 2.856 12.430
2.473 1.428 4.143
1.240 3.571 10.389
1.240 3.571 14.471
3.713 0.712 2.102
3.713 0.712 6.185
2.473 2.859 2.102
2.473 2.859 6.185